Crystalline Li3B5H2O10 at its relaxed geometry, computed with PBE-GGA.

Results
- Formation enthalpy at 0 K: -2.572 eV per atom
- Total moment: 0.000 μB/atom
- Symmetry: No. 92
- Maximum piezoelectric response: 0.0 C/m2
- Calculated total energy: -7.00 eV/atom

Cell: 6.9250 6.9250 14.6883 Å, 90.00 90.00 90.00°
Fractional positions:
Li (0.1321, 0.1506, 0.4064)
Li (0.1506, 0.1321, 0.5936)
Li (0.1952, 0.8048, 0.2500)
Li (0.3048, 0.3048, 0.0000)
Li (0.3494, 0.6321, 0.6564)
Li (0.3679, 0.6506, 0.8436)
Li (0.6321, 0.3494, 0.3436)
Li (0.6506, 0.3679, 0.1564)
Li (0.6952, 0.6952, 0.5000)
Li (0.8048, 0.1952, 0.7500)
Li (0.8494, 0.8679, 0.0936)
Li (0.8679, 0.8494, 0.9064)
B (0.0057, 0.2553, 0.1074)
B (0.0629, 0.9371, 0.7500)
B (0.2382, 0.7454, 0.4778)
B (0.2454, 0.2618, 0.2278)
B (0.2447, 0.5057, 0.3574)
B (0.2553, 0.0057, 0.8926)
B (0.2546, 0.7618, 0.0222)
B (0.2618, 0.2454, 0.7722)
B (0.4371, 0.4371, 0.5000)
B (0.4943, 0.7553, 0.1426)
B (0.5057, 0.2447, 0.6426)
B (0.5629, 0.5629, 0.0000)
B (0.7382, 0.7546, 0.2722)
B (0.7454, 0.2382, 0.5222)
B (0.7447, 0.9943, 0.3926)
B (0.7553, 0.4943, 0.8574)
B (0.7546, 0.7382, 0.7278)
B (0.7618, 0.2546, 0.9778)
B (0.9371, 0.0629, 0.2500)
B (0.9943, 0.7447, 0.6074)
H (0.0090, 0.5995, 0.0172)
H (0.0995, 0.4910, 0.7672)
H (0.4005, 0.9910, 0.4828)
H (0.4910, 0.0995, 0.2328)
H (0.5090, 0.9005, 0.7328)
H (0.5995, 0.0090, 0.9828)
H (0.9005, 0.5090, 0.2672)
H (0.9910, 0.4005, 0.5172)
O (0.0430, 0.7374, 0.0123)
O (0.0507, 0.6876, 0.5220)
O (0.0968, 0.1430, 0.7306)
O (0.1266, 0.8245, 0.6679)
O (0.1430, 0.0968, 0.2694)
O (0.1755, 0.8734, 0.8321)
O (0.1876, 0.4493, 0.2720)
O (0.1951, 0.2808, 0.1301)
O (0.2192, 0.6951, 0.3801)
O (0.2374, 0.4570, 0.7623)
O (0.2626, 0.9570, 0.4877)
O (0.2808, 0.1951, 0.8699)
O (0.3049, 0.7808, 0.1199)
O (0.3124, 0.9493, 0.9780)
O (0.3245, 0.3734, 0.4179)
O (0.3570, 0.5968, 0.9806)
O (0.3734, 0.3245, 0.5821)
O (0.4032, 0.6430, 0.5194)
O (0.4493, 0.1876, 0.7280)
O (0.4570, 0.2374, 0.2377)
O (0.5430, 0.7626, 0.7377)
O (0.5507, 0.8124, 0.2280)
O (0.5968, 0.3570, 0.0194)
O (0.6266, 0.6755, 0.0821)
O (0.6430, 0.4032, 0.4806)
O (0.6755, 0.6266, 0.9179)
O (0.6876, 0.0507, 0.4780)
O (0.6951, 0.2192, 0.6199)
O (0.7192, 0.8049, 0.3699)
O (0.7374, 0.0430, 0.9877)
O (0.7626, 0.5430, 0.2623)
O (0.7808, 0.3049, 0.8801)
O (0.8049, 0.7192, 0.6301)
O (0.8124, 0.5507, 0.7720)
O (0.8245, 0.1266, 0.3321)
O (0.8570, 0.9032, 0.7694)
O (0.8734, 0.1755, 0.1679)
O (0.9032, 0.8570, 0.2306)
O (0.9493, 0.3124, 0.0220)
O (0.9570, 0.2626, 0.5123)